49
Lattice="3.118 -12.595 0.000 3.118 12.595 0.000 -3.117 0.000 9.106" Properties=species:S:1:pos:R:3 comment="PBE+U Y4Si2Sb2W13O28, optimized geometry" magmom_total_mub_per_fu=32.0 formation_energy_ev_per_atom=-1.701 corrected_energy_ev_per_cell=-435.3 de_polymorph_mev_per_atom=80 pbc="T T T"
Y 0.549 7.261 6.025
Y 2.571 7.261 3.081
Y 0.549 -7.261 6.025
Y 2.571 -7.261 3.081
Si 1.869 0.000 2.654
Si 1.252 0.000 6.452
Sb 3.118 9.598 0.000
Sb 3.118 -9.598 0.000
W 0.000 0.000 0.000
W 0.677 10.569 6.270
W 2.444 10.569 2.836
W 0.308 3.381 5.767
W 3.118 5.460 0.000
W 3.118 1.964 0.000
W 0.308 -3.381 5.767
W 2.812 3.381 3.339
W 3.118 -1.964 0.000
W 3.118 -5.460 0.000
W 2.812 -3.381 3.339
W 0.677 -10.569 6.270
W 2.444 -10.569 2.836
O -0.440 5.390 5.432
O 1.682 6.360 1.230
O -1.349 1.279 7.756
O 0.636 3.488 3.558
O 0.196 0.000 2.866
O -1.349 -1.279 7.756
O 0.250 3.663 7.909
O 0.683 1.350 5.831
O 2.037 0.000 0.950
O 2.871 3.663 1.197
O 1.439 6.360 7.876
O 0.636 -3.488 3.558
O -0.440 -5.390 5.432
O 0.683 -1.350 5.831
O 2.438 1.350 3.275
O 3.560 5.390 3.674
O 2.484 3.488 5.547
O 1.682 -6.360 1.230
O 0.250 -3.663 7.909
O 1.083 0.000 8.155
O 2.438 -1.350 3.275
O 2.871 -3.663 1.197
O 4.469 1.279 1.350
O 2.925 0.000 6.239
O 2.484 -3.488 5.547
O 4.469 -1.279 1.350
O 1.439 -6.360 7.876
O 3.560 -5.390 3.674

66
Lattice="6.867 0.000 0.000 2.556 6.447 0.000 3.201 0.049 18.230" Properties=species:S:1:pos:R:3 comment="PBE+U Li3Ni2P7O21, optimized geometry" magmom_total_mub_per_fu=4.0 formation_energy_ev_per_atom=-2.439 corrected_energy_ev_per_cell=-479.1 pbc="T T T"
Li 1.269 1.705 0.928
Li 4.376 5.109 4.665
Li 4.426 0.762 11.377
Li 8.197 5.734 6.853
Li 8.248 1.386 13.565
Li 11.354 4.791 17.302
Ni 4.087 1.156 16.088
Ni 2.656 0.791 6.799
Ni 9.967 5.705 11.431
Ni 8.537 5.340 2.142
P 2.248 2.951 4.524
P 5.678 5.451 13.980
P 4.705 4.711 8.653
P 7.217 5.062 18.182
P 6.764 2.742 16.380
P 4.054 0.711 3.962
P 5.561 2.117 7.790
P 7.063 4.379 10.440
P 8.570 5.784 14.268
P 5.860 3.754 1.850
P 5.406 1.434 0.048
P 7.919 1.784 9.577
P 6.945 1.045 4.250
P 10.376 3.545 13.706
O 2.068 1.365 8.570
O 3.384 2.143 14.238
O 5.444 6.024 15.377
O 5.209 6.260 12.798
O 2.660 2.699 5.943
O 5.028 3.989 13.986
O 2.889 4.414 0.762
O 5.250 2.823 16.537
O 4.637 5.326 7.278
O 4.629 0.093 17.907
O 3.090 1.937 3.540
O 4.531 3.114 8.542
O 5.981 6.403 5.115
O 6.225 4.948 9.150
O 7.314 4.222 16.812
O 6.181 3.662 11.381
O 7.227 5.047 13.767
O 5.726 0.145 15.481
O 5.168 4.142 3.094
O 4.715 0.905 7.394
O 7.184 1.795 17.630
O 5.440 4.701 0.600
O 7.908 5.590 10.836
O 7.455 2.354 15.136
O 6.897 6.351 2.749
O 5.396 1.449 4.463
O 6.442 2.834 6.849
O 5.309 2.274 1.418
O 6.398 1.548 9.080
O 6.642 0.093 13.115
O 8.092 3.382 9.688
O 9.534 4.559 14.690
O 7.994 6.403 0.323
O 7.986 1.169 10.952
O 7.373 3.673 1.693
O 9.735 2.081 17.468
O 7.596 2.507 4.244
O 9.964 3.797 12.287
O 7.414 0.235 5.432
O 7.179 0.471 2.853
O 9.239 4.353 3.992
O 10.555 5.130 9.660

20
Lattice="5.161 0.000 0.000 0.000 5.230 0.000 -5.125 0.000 7.714" Properties=species:S:1:pos:R:3 comment="PBE+U Li3FeF6, optimized geometry" magmom_total_mub_per_fu=5.0 formation_energy_ev_per_atom=-2.955 corrected_energy_ev_per_cell=-110.5 de_polymorph_mev_per_atom=28 pbc="T T T"
Li 0.000 0.000 0.000
Li -2.563 2.615 3.857
Li -2.527 0.172 5.675
Li 0.036 2.444 1.818
Li 0.000 2.787 5.896
Li 2.562 5.059 2.039
Fe 0.018 0.000 3.857
Fe 2.580 2.615 0.000
F -1.658 0.906 3.425
F -4.221 1.709 7.282
F -0.811 3.584 3.209
F -3.374 4.262 7.066
F 0.680 0.464 2.054
F -1.883 2.151 5.911
F 1.918 3.079 1.803
F -0.644 4.766 5.660
F 3.409 0.968 0.648
F 0.847 1.647 4.505
F 4.256 3.521 0.432
F 1.693 4.324 4.289

77
Lattice="5.475 0.000 0.000 -0.136 9.578 0.000 -2.606 -1.423 18.076" Properties=species:S:1:pos:R:3 comment="PBE+U La14Mn15O48, optimized geometry" magmom_total_mub_per_fu=51.1 formation_energy_ev_per_atom=-2.838 corrected_energy_ev_per_cell=-662.5 pbc="T T T"
La -0.034 3.070 1.093
La 0.041 -0.057 3.301
La 0.029 3.332 7.919
La 0.048 0.187 10.260
La -0.055 6.555 12.404
La 0.048 3.242 14.574
La 0.093 0.035 16.996
La 2.639 8.121 1.080
La 2.685 4.913 3.502
La 2.788 1.601 5.672
La 2.684 7.968 7.816
La 2.704 4.823 10.157
La 2.692 8.213 14.775
La 2.767 5.085 16.983
Mn -0.057 6.370 2.275
Mn -0.023 3.266 4.532
Mn 0.046 0.028 6.761
Mn -0.029 6.478 9.014
Mn 0.005 3.272 11.324
Mn 0.075 0.178 13.525
Mn 0.000 6.530 15.773
Mn 2.669 4.789 0.000
Mn 2.733 1.625 2.304
Mn 2.658 7.978 4.551
Mn 2.728 4.883 6.752
Mn 2.762 1.677 9.062
Mn 2.686 8.127 11.315
Mn 2.756 4.889 13.545
Mn 2.790 1.785 15.801
O -0.084 7.709 0.982
O -1.156 2.307 10.021
O -1.282 7.226 10.398
O -1.472 4.366 12.196
O -1.339 -0.584 12.405
O -0.020 4.893 3.555
O 0.023 1.454 5.338
O -1.492 2.900 16.977
O -1.152 0.859 14.989
O -1.454 7.317 16.611
O -1.136 5.398 14.634
O -0.038 8.286 8.216
O -0.046 4.765 9.975
O 1.153 2.485 3.137
O 1.570 0.629 1.245
O 1.510 5.466 1.405
O 1.246 7.484 3.229
O 0.042 1.863 12.606
O -0.030 7.926 14.456
O 1.510 3.724 5.617
O 1.252 1.164 7.871
O 1.468 8.878 5.895
O 1.280 5.655 7.859
O 0.049 5.151 17.232
O 2.684 3.004 0.844
O 1.453 2.500 10.217
O 1.265 -0.723 12.181
O 1.481 6.991 10.205
O 1.223 4.432 12.459
O 2.763 0.229 3.621
O 2.691 6.292 5.470
O 1.487 0.671 14.847
O 1.222 2.689 16.672
O 1.163 7.526 16.831
O 1.580 5.670 14.939
O 2.779 3.390 8.101
O 2.771 -0.131 9.861
O 3.869 2.757 3.442
O 4.187 0.838 1.465
O 3.884 7.296 3.087
O 4.225 5.255 1.099
O 2.710 6.701 12.738
O 2.753 3.262 14.521
O 4.072 8.739 5.671
O 4.205 3.789 5.880
O 4.015 0.929 7.678
O 3.889 5.848 8.055
O 2.817 0.447 17.094